An optimized crystal structure of NaYC4O10, computed with PBE.

Output
**Formation enthalpy at 0 K**: -34.823 eV/f.u.
**Space group**: P2_1
**Polymorph energy (0 for the lowest one)**: 0 meV/atom
**Crystal system**: monoclinic
**VASP energy**: -244.3 eV/cell

Geometry as POSCAR:
```
NaYC4O10
1.0
6.421 0.000 -0.451
0.000 11.622 0.000
0.429 0.000 6.442
Na Y C O
2 2 8 20
direct
0.892 0.237 0.062
0.108 0.737 0.938
0.841 0.477 0.732
0.159 0.977 0.268
0.329 0.386 0.809
0.671 0.886 0.191
0.939 0.517 0.244
0.061 0.017 0.756
0.896 0.187 0.582
0.104 0.687 0.418
0.625 0.727 0.928
0.375 0.227 0.072
0.516 0.415 0.813
0.484 0.915 0.187
0.186 0.433 0.706
0.814 0.933 0.294
0.084 0.604 0.249
0.916 0.104 0.751
0.942 0.458 0.080
0.058 0.958 0.920
0.832 0.281 0.653
0.168 0.781 0.347
0.936 0.156 0.402
0.064 0.656 0.598
0.448 0.753 0.877
0.552 0.253 0.123
0.742 0.646 0.864
0.258 0.146 0.136
0.815 0.503 0.392
0.185 0.003 0.608
0.743 0.792 0.076
0.257 0.292 0.924
```

=====

An optimized crystal structure of Zr5Al3, computed with PBE.

Output
**Formation enthalpy at 0 K**: -2.834 eV/f.u.
**Space group**: P6_3/mcm
**Polymorph energy (0 for the lowest one)**: 20 meV/atom
**Crystal system**: hexagonal
**VASP energy**: -113.6 eV/cell

Geometry as POSCAR:
```
Zr5Al3
1.0
-7.608 -1.035 -3.270
5.873 -5.811 -1.176
-1.634 -2.586 4.621
Zr Al
10 6
direct
0.333 0.667 0.000
0.667 0.333 0.500
0.667 0.333 0.000
0.333 0.667 0.500
0.239 0.000 0.250
0.239 0.239 0.750
0.000 0.761 0.750
0.000 0.239 0.250
0.761 0.761 0.250
0.761 0.000 0.750
0.607 0.000 0.250
0.607 0.607 0.750
0.000 0.393 0.750
0.000 0.607 0.250
0.393 0.393 0.250
0.393 0.000 0.750
```